Entry from the Materials Project: a geometry-optimized ZnSnP2 structure (r²SCAN).

a = 4.004 Å, b = 4.004 Å, c = 5.623 Å
α = 90.00°, β = 90.00°, γ = 90.00°
Space group P-4m2 (No. 115)
One atom of each set of equivalent atoms:
Zn  0.000  0.000  0.000 x1
Sn  0.500  0.500  0.500 x1
P  0.000  0.500  0.227 x2

Size of the total moment   0.0 Bohr magnetons per cell
Polymorph energy (0 for the lowest one)   4 meV/atom